Below is a geometry-optimized Cs2WO8 structure, with properties calculated at the PBE with a Hubbard U level.

ΔE_f (kJ per mole of atoms): -127
Magnetic moment (μB/f.u.): 0.0
Theoretical density (Mg/m³): 4.46
Symmetry: P2_1/c, No. 14

Geometry as POSCAR:
```
Cs2WO8
1.0
7.2456 0.0000 0.0000
0.0000 9.3099 0.0000
-6.2827 0.0000 12.7534
Cs W O
8 4 32
direct
0.0111 0.0143 0.2647 Cs
0.0111 0.4857 0.7647 Cs
0.3375 0.1934 0.0874 Cs
0.3375 0.3066 0.5874 Cs
0.6625 0.6934 0.4126 Cs
0.6625 0.8066 0.9126 Cs
0.9889 0.5143 0.2353 Cs
0.9889 0.9857 0.7353 Cs
0.3285 0.7123 0.0831 W
0.3285 0.7877 0.5831 W
0.6715 0.2123 0.4169 W
0.6715 0.2877 0.9169 W
0.1001 0.7001 0.6086 O
0.1001 0.7999 0.1086 O
0.1601 0.7263 0.9273 O
0.1601 0.7737 0.4273 O
0.2095 0.5165 0.0779 O
0.2095 0.9835 0.5779 O
0.2895 0.6419 0.4702 O
0.2895 0.8581 0.9702 O
0.3068 0.6357 0.6772 O
0.3068 0.8643 0.1772 O
0.3595 0.5572 0.1876 O
0.3595 0.9428 0.6876 O
0.3677 0.2477 0.3487 O
0.3677 0.2523 0.8487 O
0.4269 0.1340 0.4320 O
0.4269 0.3660 0.9320 O
0.5731 0.6340 0.0680 O
0.5731 0.8660 0.5680 O
0.6323 0.7477 0.1513 O
0.6323 0.7523 0.6513 O
0.6405 0.0572 0.3124 O
0.6405 0.4428 0.8124 O
0.6932 0.1357 0.8228 O
0.6932 0.3643 0.3228 O
0.7105 0.1419 0.0298 O
0.7105 0.3581 0.5298 O
0.7905 0.0165 0.4221 O
0.7905 0.4835 0.9221 O
0.8399 0.2263 0.5727 O
0.8399 0.2737 0.0727 O
0.8999 0.2001 0.8914 O
0.8999 0.2999 0.3914 O
```

---

Below is a geometry-optimized CsW3O9 structure, with properties calculated at the PBE with a Hubbard U level.

ΔE_f (kJ per mole of atoms): -217
Theoretical density (Mg/m³): 7.18
Symmetry: P6/mmm, No. 191

Geometry as POSCAR:
```
CsW3O9
1.0
7.5447 0.0000 0.0000
-3.7724 6.5339 0.0000
0.0000 0.0000 3.8875
Cs W O
1 3 9
direct
0.0000 0.0000 0.0000 Cs
0.0000 0.5000 0.5000 W
0.5000 0.0000 0.5000 W
0.5000 0.5000 0.5000 W
0.0000 0.5000 0.0000 O
0.2108 0.4217 0.5000 O
0.2108 0.7892 0.5000 O
0.4217 0.2108 0.5000 O
0.5000 0.0000 0.0000 O
0.5000 0.5000 0.0000 O
0.5783 0.7892 0.5000 O
0.7892 0.2108 0.5000 O
0.7892 0.5783 0.5000 O
```

---

Below is a geometry-optimized Cs2ZrW3O12 structure, with properties calculated at the PBE with a Hubbard U level.

ΔE_f (kJ per mole of atoms): -247
Magnetic moment (μB/f.u.): 0.0
Theoretical density (Mg/m³): 6.09
Symmetry: C2, No. 5

Geometry as POSCAR:
```
Cs2ZrW3O12
1.0
6.4560 -3.7261 0.0000
6.4560 3.7261 0.0000
-4.2974 0.0000 6.2400
Cs Zr W O
2 1 3 12
direct
0.1366 0.1366 0.3880 Cs
0.8634 0.8634 0.6120 Cs
0.5232 0.4768 0.5000 Zr
0.0233 0.4766 0.0002 W
0.5234 0.9767 0.9998 W
0.5238 0.4762 0.0000 W
0.1953 0.5367 0.2978 O
0.2178 0.1675 0.9474 O
0.2179 0.5361 0.9466 O
0.4634 0.4092 0.7020 O
0.4633 0.8047 0.7022 O
0.4639 0.7821 0.0534 O
0.5876 0.1677 0.9479 O
0.5886 0.1459 0.2979 O
0.5908 0.5366 0.2980 O
0.8323 0.4124 0.0521 O
0.8325 0.7822 0.0526 O
0.8541 0.4114 0.7021 O
```

---

Below is a geometry-optimized DyFe4Cu3O12 structure, with properties calculated at the PBE with a Hubbard U level.

ΔE_f (kJ per mole of atoms): -159
Magnetic moment (μB/f.u.): 19.9
Theoretical density (Mg/m³): 6.16
Symmetry: Im-3, No. 204

Geometry as POSCAR:
```
DyFe4Cu3O12
1.0
-3.7281 3.7281 3.7281
3.7281 -3.7281 3.7281
3.7281 3.7281 -3.7281
Dy Fe Cu O
1 4 3 12
direct
0.0000 0.0000 0.0000 Dy
0.0000 0.0000 0.5000 Fe
0.0000 0.5000 0.0000 Fe
0.5000 0.0000 0.0000 Fe
0.5000 0.5000 0.5000 Fe
0.0000 0.5000 0.5000 Cu
0.5000 0.0000 0.5000 Cu
0.5000 0.5000 0.0000 Cu
0.1433 0.3076 0.8357 O
0.1643 0.4718 0.3076 O
0.1643 0.8567 0.6924 O
0.3076 0.1643 0.4718 O
0.3076 0.8357 0.1433 O
0.4718 0.3076 0.1643 O
0.5282 0.6924 0.8357 O
0.6924 0.1643 0.8567 O
0.6924 0.8357 0.5282 O
0.8357 0.1433 0.3076 O
0.8357 0.5282 0.6924 O
0.8567 0.6924 0.1643 O
```

---

Below is a geometry-optimized Dy2CuW4O16 structure, with properties calculated at the PBE with a Hubbard U level.

ΔE_f (kJ per mole of atoms): -240
Magnetic moment (μB/f.u.): 1.0
Theoretical density (Mg/m³): 7.83
Symmetry: C2/c, No. 15

Geometry as POSCAR:
```
Dy2CuW4O16
1.0
9.6864 -2.8444 0.0000
9.6864 2.8444 0.0000
-3.9832 0.0000 10.6165
Dy Cu W O
4 2 8 32
direct
0.0166 0.6848 0.5449 Dy
0.3152 0.9834 0.9551 Dy
0.6848 0.0166 0.0449 Dy
0.9834 0.3152 0.4551 Dy
0.1623 0.8377 0.2500 Cu
0.8377 0.1623 0.7500 Cu
0.1909 0.4353 0.2151 W
0.2560 0.6325 0.9095 W
0.3675 0.7440 0.5905 W
0.4353 0.1909 0.7151 W
0.5647 0.8091 0.2849 W
0.6325 0.2560 0.4095 W
0.7440 0.3675 0.0905 W
0.8091 0.5647 0.7849 W
0.0212 0.2179 0.0738 O
0.0374 0.7119 0.1785 O
0.0875 0.4172 0.7646 O
0.1062 0.8657 0.6196 O
0.1343 0.8938 0.8804 O
0.2179 0.0212 0.5738 O
0.2463 0.2884 0.5549 O
0.2571 0.5267 0.7291 O
0.2785 0.4586 0.3985 O
0.2884 0.2463 0.0549 O
0.2881 0.9626 0.3215 O
0.3750 0.6049 0.0893 O
0.3951 0.6250 0.4107 O
0.4172 0.0875 0.2646 O
0.4586 0.2785 0.8985 O
0.4733 0.7429 0.7709 O
0.5267 0.2571 0.2291 O
0.5414 0.7215 0.1015 O
0.5828 0.9125 0.7354 O
0.6049 0.3750 0.5893 O
0.6250 0.3951 0.9107 O
0.7119 0.0374 0.6785 O
0.7116 0.7537 0.9451 O
0.7215 0.5414 0.6015 O
0.7429 0.4733 0.2709 O
0.7537 0.7116 0.4451 O
0.7821 0.9788 0.4262 O
0.8657 0.1062 0.1196 O
0.8938 0.1343 0.3804 O
0.9125 0.5828 0.2354 O
0.9626 0.2881 0.8215 O
0.9788 0.7821 0.9262 O
```

---

Below is a geometry-optimized ErFe4Cu3O12 structure, with properties calculated at the PBE with a Hubbard U level.

ΔE_f (kJ per mole of atoms): -158
Magnetic moment (μB/f.u.): 19.8
Theoretical density (Mg/m³): 6.20
Symmetry: Im-3, No. 204

Geometry as POSCAR:
```
ErFe4Cu3O12
1.0
-3.7279 3.7279 3.7279
3.7279 -3.7279 3.7279
3.7279 3.7279 -3.7279
Er Fe Cu O
1 4 3 12
direct
0.0000 0.0000 0.0000 Er
0.0000 0.0000 0.5000 Fe
0.0000 0.5000 0.0000 Fe
0.5000 0.0000 0.0000 Fe
0.5000 0.5000 0.5000 Fe
0.0000 0.5000 0.5000 Cu
0.5000 0.0000 0.5000 Cu
0.5000 0.5000 0.0000 Cu
0.1422 0.3066 0.8356 O
0.1644 0.4710 0.3066 O
0.1644 0.8578 0.6934 O
0.3066 0.1644 0.4710 O
0.3066 0.8356 0.1422 O
0.4710 0.3066 0.1644 O
0.5290 0.6934 0.8356 O
0.6934 0.1644 0.8578 O
0.6934 0.8356 0.5290 O
0.8356 0.1422 0.3066 O
0.8356 0.5290 0.6934 O
0.8578 0.6934 0.1644 O
```

---

Respective VASP energy values: -0.2027, -0.2657, -0.2717, -0.2312, -0.2759, -0.2310 Ha/atom.